! SrV4O10 (meta-GGA r2SCAN, optimized geometry); values from VASP
&SYSTEM
  ibrav = 0, nat = 15, ntyp = 3
/
ATOMIC_SPECIES
Sr 87.62 Sr.upf
V 50.94 V.upf
O 16.00 O.upf
CELL_PARAMETERS angstrom
5.693 -0.942 -2.004
5.383 -2.576 1.306
-2.364 -7.632 -3.988
ATOMIC_POSITIONS crystal
Sr 0.592 0.593 0.025
V 0.233 0.233 0.339
V 0.766 0.766 0.663
V 0.937 0.937 0.339
V 0.064 0.064 0.657
O 0.080 0.081 0.405
O 0.916 0.917 0.600
O 0.966 0.966 0.156
O 0.053 0.054 0.844
O 0.211 0.211 0.157
O 0.769 0.769 0.845
O 0.400 0.401 0.361
O 0.599 0.600 0.631
O 0.765 0.765 0.378
O 0.236 0.236 0.611
! Space-group type: Cm, No. 8
! Polymorph energy (0 for the lowest one) in meV per atom: 13
! Uncorrected energy in eV/atom: -11.463
! Energy of formation in eV/atom: -2.7144

! RbGd3F10 (meta-GGA r2SCAN, optimized geometry); values from VASP
&SYSTEM
  ibrav = 0, nat = 28, ntyp = 3
/
ATOMIC_SPECIES
Rb 85.47 Rb.upf
Gd 157.25 Gd.upf
F 19.00 F.upf
CELL_PARAMETERS angstrom
-6.075 -5.572 -1.201
-7.736 1.641 2.621
-6.033 1.543 -5.534
ATOMIC_POSITIONS crystal
Rb 0.250 0.250 0.250
Rb 0.750 0.750 0.750
Gd 0.760 0.240 0.240
Gd 0.240 0.760 0.760
Gd 0.240 0.760 0.240
Gd 0.760 0.240 0.760
Gd 0.240 0.240 0.760
Gd 0.760 0.760 0.240
F 0.832 0.500 0.500
F 0.168 0.500 0.500
F 0.500 0.832 0.168
F 0.500 0.168 0.832
F 0.500 0.832 0.500
F 0.168 0.500 0.832
F 0.500 0.168 0.500
F 0.832 0.500 0.168
F 0.500 0.500 0.832
F 0.500 0.500 0.168
F 0.168 0.832 0.500
F 0.832 0.168 0.500
F 0.111 0.111 0.111
F 0.889 0.889 0.889
F 0.111 0.111 0.667
F 0.111 0.667 0.111
F 0.889 0.889 0.333
F 0.889 0.333 0.889
F 0.667 0.111 0.111
F 0.333 0.889 0.889
! Space-group type: Fm-3m, No. 225
! Uncorrected energy in eV/atom: -16.738
! Energy of formation in eV/atom: -4.2106

! Cr2S3 (meta-GGA r2SCAN, optimized geometry); values from VASP
&SYSTEM
  ibrav = 0, nat = 10, ntyp = 2
/
ATOMIC_SPECIES
Cr 52.00 Cr.upf
S 32.06 S.upf
CELL_PARAMETERS angstrom
5.896 -3.008 0.009
5.896 3.008 0.009
4.354 0.000 4.985
ATOMIC_POSITIONS crystal
Cr 0.678 0.678 0.678
Cr 0.500 0.500 0.500
Cr 0.000 0.000 0.000
Cr 0.322 0.322 0.322
S 0.599 0.900 0.267
S 0.733 0.401 0.100
S 0.267 0.599 0.900
S 0.401 0.100 0.733
S 0.100 0.733 0.401
S 0.900 0.267 0.599
! Space-group type: R-3, No. 148
! Uncorrected energy in eV/atom: -11.862
! Energy of formation in eV/atom: -1.0118

! InCuSe2 (meta-GGA r2SCAN, optimized geometry); values from VASP
&SYSTEM
  ibrav = 0, nat = 8, ntyp = 3
/
ATOMIC_SPECIES
In 114.82 In.upf
Cu 63.55 Cu.upf
Se 78.96 Se.upf
CELL_PARAMETERS angstrom
5.303 0.000 -2.363
-1.053 5.198 -2.363
-0.002 -0.002 7.130
ATOMIC_POSITIONS crystal
In 0.500 0.500 0.000
In 0.750 0.250 0.500
Cu 0.000 0.000 0.000
Cu 0.250 0.750 0.500
Se 0.345 0.375 0.250
Se 0.905 0.875 0.250
Se 0.125 0.655 0.750
Se 0.625 0.095 0.750
! Space-group type: I-42d, No. 122
! Uncorrected energy in eV/atom: -16.068
! Energy of formation in eV/atom: -0.5558